Density functional theory data (PBE) for a relaxed structure of CeCo2Ge2.

Geometry as CIF:
```
data_CeCo2Ge2
_cell_length_a 5.740
_cell_length_b 5.740
_cell_length_c 5.740
_cell_angle_alpha 138.30
_cell_angle_beta 138.30
_cell_angle_gamma 60.45
_space_group_name_H-M_alt 'P 1'
_space_group_IT_number 1
loop_
_space_group_symop_operation_xyz
'x,y,z'
loop_
_atom_site_label
_atom_site_type_symbol
_atom_site_fract_x
_atom_site_fract_y
_atom_site_fract_z
Ce1 Ce 0.000 0.000 0.000
Co1 Co 0.750 0.250 0.500
Co2 Co 0.250 0.750 0.500
Ge1 Ge 0.632 0.632 0.000
Ge2 Ge 0.368 0.368 0.000
```

Symmetry: No. 139

Density functional theory data (PBE) for a relaxed structure of Si2H6O.

Geometry as CIF:
```
data_Si2H6O
_cell_length_a 4.907
_cell_length_b 7.955
_cell_length_c 13.611
_cell_angle_alpha 90.00
_cell_angle_beta 90.00
_cell_angle_gamma 90.00
_space_group_name_H-M_alt 'P 1'
_space_group_IT_number 1
loop_
_space_group_symop_operation_xyz
'x,y,z'
loop_
_atom_site_label
_atom_site_type_symbol
_atom_site_fract_x
_atom_site_fract_y
_atom_site_fract_z
Si1 Si 0.228 0.491 0.048
Si2 Si 0.728 0.009 0.952
Si3 Si 0.772 0.991 0.452
Si4 Si 0.272 0.509 0.548
Si5 Si 0.462 0.282 0.223
Si6 Si 0.962 0.218 0.777
Si7 Si 0.538 0.782 0.277
Si8 Si 0.038 0.718 0.723
H1 H 0.042 0.353 0.014
H2 H 0.542 0.147 0.986
H3 H 0.958 0.853 0.486
H4 H 0.458 0.647 0.514
H5 H 0.070 0.650 0.059
H6 H 0.570 0.850 0.941
H7 H 0.930 0.150 0.441
H8 H 0.430 0.350 0.559
H9 H 0.448 0.514 0.974
H10 H 0.948 0.986 0.026
H11 H 0.552 0.014 0.526
H12 H 0.052 0.486 0.474
H13 H 0.756 0.249 0.205
H14 H 0.256 0.251 0.795
H15 H 0.244 0.749 0.295
H16 H 0.744 0.751 0.705
H17 H 0.420 0.329 0.328
H18 H 0.920 0.171 0.672
H19 H 0.580 0.829 0.172
H20 H 0.080 0.671 0.828
H21 H 0.297 0.131 0.198
H22 H 0.797 0.369 0.802
H23 H 0.703 0.631 0.302
H24 H 0.203 0.869 0.698
O1 O 0.361 0.444 0.156
O2 O 0.861 0.056 0.844
O3 O 0.639 0.944 0.344
O4 O 0.139 0.556 0.656
```

Total moment, Bohr magnetons per cell: 0.001
MP2020-corrected energy, eV for the cell shown: -162.2
Symmetry: No. 19
Largest piezoelectric modulus, C/m²: 0.0

Density functional theory data (PBE) for a relaxed structure of Li2CeTl.

Geometry as CIF:
```
data_Li2CeTl
_cell_length_a 4.986
_cell_length_b 4.986
_cell_length_c 4.986
_cell_angle_alpha 60.00
_cell_angle_beta 60.00
_cell_angle_gamma 60.00
_space_group_name_H-M_alt 'P 1'
_space_group_IT_number 1
loop_
_space_group_symop_operation_xyz
'x,y,z'
loop_
_atom_site_label
_atom_site_type_symbol
_atom_site_fract_x
_atom_site_fract_y
_atom_site_fract_z
Li1 Li 0.750 0.750 0.750
Li2 Li 0.250 0.250 0.250
Ce1 Ce 0.000 0.000 0.000
Tl1 Tl 0.500 0.500 0.500
```

Total moment, Bohr magnetons per cell: 1.013
Symmetry: No. 225

Density functional theory data (PBE) for a relaxed structure of NaErRe4O20.

Geometry as CIF:
```
data_NaErRe4O20
_cell_length_a 5.880
_cell_length_b 12.314
_cell_length_c 12.314
_cell_angle_alpha 90.00
_cell_angle_beta 90.00
_cell_angle_gamma 90.00
_space_group_name_H-M_alt 'P 1'
_space_group_IT_number 1
loop_
_space_group_symop_operation_xyz
'x,y,z'
loop_
_atom_site_label
_atom_site_type_symbol
_atom_site_fract_x
_atom_site_fract_y
_atom_site_fract_z
Na1 Na 0.000 0.000 0.000
Na2 Na 0.500 0.500 0.500
Er1 Er 0.250 0.000 0.500
Er2 Er 0.750 0.500 0.000
Re1 Re 0.023 0.410 0.282
Re2 Re 0.023 0.590 0.718
Re3 Re 0.977 0.282 0.590
Re4 Re 0.523 0.910 0.218
Re5 Re 0.977 0.718 0.410
Re6 Re 0.523 0.090 0.782
Re7 Re 0.477 0.782 0.910
Re8 Re 0.477 0.218 0.090
O1 O 0.203 0.185 0.047
O2 O 0.203 0.815 0.953
O3 O 0.797 0.047 0.815
O4 O 0.703 0.685 0.453
O5 O 0.797 0.953 0.185
O6 O 0.703 0.315 0.547
O7 O 0.297 0.547 0.685
O8 O 0.297 0.453 0.315
O9 O 0.176 0.364 0.524
O10 O 0.176 0.636 0.476
O11 O 0.824 0.524 0.636
O12 O 0.676 0.864 0.976
O13 O 0.824 0.476 0.364
O14 O 0.676 0.136 0.024
O15 O 0.324 0.024 0.864
O16 O 0.324 0.976 0.136
O17 O 0.033 0.141 0.560
O18 O 0.033 0.859 0.440
O19 O 0.967 0.560 0.859
O20 O 0.533 0.641 0.940
O21 O 0.967 0.440 0.141
O22 O 0.533 0.359 0.060
O23 O 0.467 0.060 0.641
O24 O 0.467 0.940 0.359
O25 O 0.500 0.195 0.229
O26 O 0.500 0.805 0.771
O27 O 0.500 0.229 0.805
O28 O 0.000 0.695 0.271
O29 O 0.500 0.771 0.195
O30 O 0.000 0.305 0.729
O31 O 0.000 0.729 0.695
O32 O 0.000 0.271 0.305
O33 O 0.021 0.067 0.354
O34 O 0.021 0.933 0.646
O35 O 0.979 0.354 0.933
O36 O 0.521 0.567 0.146
O37 O 0.979 0.646 0.067
O38 O 0.521 0.433 0.854
O39 O 0.479 0.854 0.567
O40 O 0.479 0.146 0.433
```

Total moment, Bohr magnetons per cell: 16.000
MP2020-corrected energy, eV for the cell shown: -398.1
Symmetry: No. 118

Density functional theory data (PBE) for a relaxed structure of PrSe4O11.

Geometry as CIF:
```
data_PrSe4O11
_cell_length_a 7.272
_cell_length_b 11.077
_cell_length_c 13.484
_cell_angle_alpha 89.39
_cell_angle_beta 90.00
_cell_angle_gamma 90.00
_space_group_name_H-M_alt 'P 1'
_space_group_IT_number 1
loop_
_space_group_symop_operation_xyz
'x,y,z'
loop_
_atom_site_label
_atom_site_type_symbol
_atom_site_fract_x
_atom_site_fract_y
_atom_site_fract_z
Pr1 Pr 0.450 0.050 0.340
Pr2 Pr 0.950 0.450 0.660
Pr3 Pr 0.550 0.950 0.660
Pr4 Pr 0.050 0.550 0.340
Se1 Se 0.509 0.290 0.754
Se2 Se 0.009 0.210 0.246
Se3 Se 0.491 0.710 0.246
Se4 Se 0.991 0.790 0.754
Se5 Se 0.659 0.173 0.092
Se6 Se 0.159 0.327 0.908
Se7 Se 0.341 0.827 0.908
Se8 Se 0.841 0.673 0.092
Se9 Se 0.062 0.104 0.704
Se10 Se 0.562 0.396 0.296
Se11 Se 0.938 0.896 0.296
Se12 Se 0.438 0.604 0.704
Se13 Se 0.294 0.324 0.487
Se14 Se 0.794 0.176 0.513
Se15 Se 0.706 0.676 0.513
Se16 Se 0.206 0.824 0.487
O1 O 0.571 0.145 0.752
O2 O 0.071 0.355 0.248
O3 O 0.429 0.855 0.248
O4 O 0.929 0.645 0.752
O5 O 0.405 0.308 0.878
O6 O 0.905 0.192 0.122
O7 O 0.595 0.692 0.122
O8 O 0.095 0.808 0.878
O9 O 0.195 0.122 0.227
O10 O 0.695 0.378 0.773
O11 O 0.805 0.878 0.773
O12 O 0.305 0.622 0.227
O13 O 0.179 0.379 0.021
O14 O 0.679 0.121 0.979
O15 O 0.821 0.621 0.979
O16 O 0.321 0.879 0.021
O17 O 0.586 0.070 0.173
O18 O 0.086 0.430 0.827
O19 O 0.414 0.930 0.827
O20 O 0.914 0.570 0.173
O21 O 0.562 0.306 0.105
O22 O 0.062 0.194 0.895
O23 O 0.438 0.694 0.895
O24 O 0.938 0.806 0.105
O25 O 0.726 0.483 0.348
O26 O 0.226 0.017 0.652
O27 O 0.274 0.517 0.652
O28 O 0.774 0.983 0.348
O29 O 0.119 0.247 0.667
O30 O 0.619 0.253 0.333
O31 O 0.881 0.753 0.333
O32 O 0.381 0.747 0.667
O33 O 0.371 0.430 0.385
O34 O 0.871 0.070 0.615
O35 O 0.629 0.570 0.615
O36 O 0.129 0.930 0.385
O37 O 0.244 0.197 0.424
O38 O 0.744 0.303 0.576
O39 O 0.756 0.803 0.576
O40 O 0.256 0.697 0.424
O41 O 0.087 0.398 0.489
O42 O 0.587 0.102 0.511
O43 O 0.913 0.602 0.511
O44 O 0.413 0.898 0.489
```

Total moment, Bohr magnetons per cell: 3.996
MP2020-corrected energy, eV for the cell shown: -390.8
Symmetry: No. 14

Density functional theory data (PBE) for a relaxed structure of SmSiPd.

Geometry as CIF:
```
data_SmSiPd
_cell_length_a 4.335
_cell_length_b 4.335
_cell_length_c 3.790
_cell_angle_alpha 90.00
_cell_angle_beta 90.00
_cell_angle_gamma 120.00
_space_group_name_H-M_alt 'P 1'
_space_group_IT_number 1
loop_
_space_group_symop_operation_xyz
'x,y,z'
loop_
_atom_site_label
_atom_site_type_symbol
_atom_site_fract_x
_atom_site_fract_y
_atom_site_fract_z
Sm1 Sm 0.000 0.000 0.000
Si1 Si 0.667 0.333 0.500
Pd1 Pd 0.333 0.667 0.500
```

Total moment, Bohr magnetons per cell: 0.003
Symmetry: No. 187

E_tot for every record listed, in sequence, given in eV for the cell shown: -32.301, -159.453, -12.664, -370.655, -360.525, -18.073.
Formation enthalpy at 0 K for every record listed, in sequence, given in eV per atom: -0.58, -0.49, -0.14, -1.71, -1.53, -0.92.